Record 1
A plane-wave DFT calculation with PBE with a Hubbard U was carried out for an optimized crystal structure of Na2SrLiVP2O9.

Structure (POSCAR):
```
Na2SrLiVP2O9
1.0
10.764 0.000 0.000
0.000 10.695 0.000
0.000 0.000 6.985
Na Sr Li V P O
8 4 4 4 8 36
direct
0.233 0.145 0.000
0.246 0.155 0.527
0.254 0.655 0.027
0.267 0.645 0.500
0.733 0.355 0.000
0.746 0.345 0.527
0.754 0.845 0.027
0.767 0.855 0.500
0.065 0.423 0.265
0.435 0.923 0.765
0.565 0.077 0.265
0.935 0.577 0.765
0.037 0.995 0.477
0.463 0.495 0.977
0.537 0.505 0.477
0.963 0.005 0.977
0.026 0.793 0.254
0.474 0.293 0.754
0.526 0.707 0.254
0.974 0.207 0.754
0.088 0.857 0.762
0.191 0.415 0.767
0.309 0.915 0.267
0.412 0.357 0.262
0.588 0.643 0.762
0.691 0.085 0.767
0.809 0.585 0.267
0.912 0.143 0.262
0.007 0.821 0.943
0.010 0.816 0.582
0.097 0.004 0.756
0.110 0.650 0.265
0.137 0.483 0.942
0.142 0.482 0.587
0.152 0.275 0.764
0.164 0.925 0.277
0.216 0.794 0.768
0.284 0.294 0.268
0.336 0.425 0.777
0.348 0.775 0.264
0.358 0.982 0.087
0.363 0.983 0.442
0.390 0.150 0.765
0.403 0.504 0.256
0.490 0.316 0.082
0.493 0.321 0.443
0.507 0.679 0.943
0.510 0.684 0.582
0.597 0.496 0.756
0.610 0.850 0.265
0.637 0.017 0.942
0.642 0.018 0.587
0.652 0.225 0.764
0.664 0.575 0.277
0.716 0.706 0.768
0.784 0.206 0.268
0.836 0.075 0.777
0.848 0.725 0.264
0.858 0.518 0.087
0.863 0.517 0.442
0.890 0.350 0.765
0.903 0.996 0.256
0.990 0.184 0.082
0.993 0.179 0.443
```

Calculated values
Energy of formation from the pure elements in eV per atom: -2.74

Record 2
A plane-wave DFT calculation with PBE with a Hubbard U was carried out for an optimized crystal structure of MgMn4O6.

Structure (POSCAR):
```
MgMn4O6
1.0
5.195 0.000 0.000
2.436 4.730 0.000
2.544 -1.175 5.100
Mg Mn O
1 4 6
direct
0.000 0.000 0.000
0.270 0.369 0.116
0.361 0.815 0.472
0.639 0.185 0.528
0.730 0.631 0.884
0.180 0.616 0.743
0.216 0.769 0.226
0.455 0.953 0.734
0.545 0.047 0.266
0.784 0.231 0.774
0.820 0.384 0.257
```

Calculated values
Energy of formation from the pure elements in eV per atom: -2.13

Record 3
A plane-wave DFT calculation with PBE with a Hubbard U was carried out for an optimized crystal structure of FeOF.

Structure (POSCAR):
```
FeOF
1.0
9.452 0.000 0.000
0.000 3.108 0.000
-0.063 0.000 14.212
Fe O F
12 12 12
direct
0.000 0.000 0.000
0.001 0.000 0.329
0.210 0.500 0.832
0.215 0.500 0.495
0.218 0.500 0.162
0.471 0.000 0.018
0.499 0.000 0.667
0.501 0.000 0.330
0.710 0.500 0.498
0.712 0.500 0.164
0.720 0.500 0.827
0.971 0.000 0.684
0.075 0.500 0.934
0.082 0.500 0.271
0.128 0.000 0.104
0.130 0.000 0.439
0.136 0.000 0.766
0.378 0.500 0.070
0.576 0.500 0.603
0.578 0.500 0.269
0.623 0.000 0.776
0.631 0.000 0.437
0.637 0.000 0.101
0.877 0.500 0.735
0.074 0.500 0.604
0.322 0.000 0.568
0.328 0.000 0.239
0.332 0.000 0.897
0.379 0.500 0.731
0.381 0.500 0.403
0.574 0.500 0.938
0.820 0.000 0.906
0.828 0.000 0.234
0.833 0.000 0.564
0.882 0.500 0.068
0.882 0.500 0.400
```

Calculated values
Energy of formation from the pure elements in eV per atom: -2.05

Record 4
A plane-wave DFT calculation with PBE with a Hubbard U was carried out for an optimized crystal structure of SrCa3TiMn3O10.

Structure (POSCAR):
```
SrCa3TiMn3O10
1.0
11.007 0.000 0.000
0.004 11.275 0.000
5.482 5.589 15.365
Sr Ca Ti Mn O
8 24 8 24 80
direct
0.000 0.000 0.000
0.001 0.501 0.999
0.115 0.597 0.777
0.250 0.736 0.000
0.501 0.499 0.000
0.618 0.600 0.276
0.750 0.238 0.000
0.866 0.361 0.279
0.003 0.508 0.502
0.008 0.999 0.504
0.109 0.588 0.283
0.114 0.091 0.782
0.118 0.098 0.280
0.253 0.235 0.996
0.255 0.731 0.499
0.256 0.230 0.504
0.360 0.363 0.783
0.360 0.867 0.780
0.362 0.362 0.282
0.370 0.866 0.278
0.501 0.008 0.997
0.503 0.004 0.504
0.506 0.505 0.503
0.608 0.589 0.781
0.611 0.094 0.781
0.616 0.091 0.281
0.755 0.737 0.995
0.756 0.234 0.504
0.760 0.728 0.502
0.859 0.364 0.783
0.864 0.863 0.283
0.868 0.866 0.780
0.054 0.296 0.397
0.058 0.801 0.386
0.305 0.048 0.391
0.308 0.548 0.389
0.555 0.296 0.392
0.555 0.799 0.394
0.555 0.802 0.887
0.805 0.046 0.396
0.054 0.802 0.888
0.055 0.298 0.887
0.201 0.391 0.142
0.202 0.894 0.638
0.203 0.394 0.638
0.204 0.896 0.140
0.305 0.051 0.887
0.306 0.548 0.887
0.445 0.197 0.143
0.449 0.207 0.640
0.451 0.706 0.138
0.456 0.705 0.640
0.553 0.297 0.888
0.693 0.391 0.141
0.694 0.895 0.139
0.700 0.890 0.642
0.704 0.396 0.640
0.802 0.049 0.888
0.804 0.547 0.393
0.804 0.553 0.887
0.949 0.703 0.638
0.950 0.196 0.141
0.950 0.207 0.642
0.950 0.707 0.144
0.104 0.899 0.265
0.108 0.893 0.758
0.111 0.389 0.262
0.116 0.385 0.753
0.130 0.721 0.150
0.133 0.222 0.142
0.133 0.728 0.631
0.139 0.229 0.639
0.167 0.912 0.409
0.170 0.411 0.408
0.176 0.922 0.897
0.180 0.416 0.899
0.184 0.183 0.376
0.184 0.683 0.377
0.188 0.682 0.878
0.191 0.180 0.874
0.224 0.512 0.521
0.225 0.020 0.517
0.236 0.015 0.018
0.239 0.502 0.022
0.347 0.075 0.266
0.354 0.580 0.265
0.362 0.083 0.759
0.366 0.581 0.759
0.379 0.366 0.149
0.386 0.382 0.638
0.389 0.876 0.639
0.392 0.880 0.141
0.417 0.418 0.408
0.417 0.919 0.408
0.425 0.416 0.897
0.425 0.922 0.901
0.430 0.678 0.379
0.431 0.177 0.376
0.437 0.179 0.873
0.439 0.681 0.872
0.471 0.200 0.519
0.472 0.703 0.518
0.481 0.710 0.015
0.483 0.209 0.017
0.598 0.891 0.265
0.600 0.388 0.266
0.605 0.899 0.760
0.615 0.390 0.755
0.626 0.217 0.149
0.638 0.234 0.638
0.640 0.726 0.133
0.646 0.717 0.638
0.666 0.405 0.409
0.667 0.916 0.407
0.671 0.915 0.903
0.677 0.422 0.892
0.680 0.178 0.378
0.682 0.688 0.381
0.685 0.180 0.874
0.688 0.688 0.871
0.726 0.020 0.518
0.732 0.011 0.017
0.732 0.509 0.523
0.733 0.513 0.017
0.853 0.080 0.759
0.857 0.081 0.263
0.865 0.590 0.263
0.868 0.593 0.754
0.876 0.358 0.141
0.876 0.866 0.150
0.887 0.383 0.639
0.889 0.869 0.639
0.916 0.916 0.409
0.919 0.919 0.899
0.923 0.426 0.894
0.926 0.411 0.407
0.932 0.683 0.879
0.935 0.173 0.379
0.935 0.176 0.873
0.939 0.684 0.380
0.976 0.706 0.523
0.978 0.197 0.520
0.984 0.718 0.023
0.986 0.213 0.021
```

Calculated values
Energy of formation from the pure elements in eV per atom: -2.82